# YFe11MoN

A relaxed structure of YFe11MoN (PBE, the Materials Project database).

Values from the calculation:
**Space group**: No. 44
**DFT formation energy**: -1.89 eV/f.u.
**DFT total energy**: -120.35 eV/cell
**M_tot**: 23.2 μB per formula unit

a b c (Å): 4.784 6.516 6.516
angles (deg): 97.54 111.54 68.46
Fractional positions:
Fe 0.496 0.227 0.219
Fe 0.277 0.223 0.777
Fe 0.500 0.502 0.003
Y 0.005 0.995 0.005
N 0.501 0.999 0.001
Mo 0.638 0.362 0.638
Fe 0.360 0.640 0.360
Fe 0.999 0.361 0.360
Fe 0.999 0.640 0.639
Fe 0.500 0.997 0.498
Fe 0.725 0.775 0.225
Fe 0.001 0.502 0.003
Fe 0.001 0.997 0.498
Fe 0.496 0.781 0.773

# Sr3Sn5

A relaxed structure of Sr3Sn5 (PBE, the Materials Project database).

Values from the calculation:
**Space group**: No. 63
**DFT formation energy**: -4.52 eV/f.u.
**DFT total energy**: -59.28 eV/cell

a b c (Å): 6.914 6.914 11.007
angles (deg): 90.00 90.00 102.35
Fractional positions:
Sn 0.188 0.188 0.947
Sr 0.297 0.703 0.000
Sr 0.703 0.297 0.000
Sn 0.992 0.591 0.250
Sn 0.008 0.409 0.750
Sn 0.543 0.543 0.250
Sr 0.854 0.854 0.750
Sn 0.812 0.812 0.447
Sn 0.409 0.008 0.750
Sn 0.188 0.188 0.553
Sr 0.146 0.146 0.250
Sn 0.591 0.992 0.250
Sr 0.297 0.703 0.500
Sn 0.457 0.457 0.750
Sr 0.703 0.297 0.500
Sn 0.812 0.812 0.053

# MgU2O6

A relaxed structure of MgU2O6 (PBE, the Materials Project database).

Values from the calculation:
**Space group**: No. 15
**DFT formation energy**: -31.86 eV/f.u.
**DFT total energy**: -163.21 eV/cell
**M_tot**: 2.0 μB per formula unit

a b c (Å): 6.420 6.420 6.557
angles (deg): 80.40 80.40 120.26
Fractional positions:
O 0.719 0.552 0.867
O 0.281 0.448 0.133
O 0.552 0.719 0.367
U 0.084 0.916 0.750
Mg 0.578 0.422 0.250
Mg 0.422 0.578 0.750
U 0.746 0.254 0.750
O 0.127 0.622 0.623
O 0.873 0.378 0.377
U 0.916 0.084 0.250
O 0.029 0.201 0.879
O 0.201 0.029 0.379
O 0.378 0.873 0.877
U 0.254 0.746 0.250
O 0.799 0.971 0.621
O 0.622 0.127 0.123
O 0.448 0.281 0.633
O 0.971 0.799 0.121